Below is a geometry-optimized Sn4P3CN3O12 structure, with properties calculated at the GGA-PBE level.

Unit cell a=9.189 b=9.189 c=21.021 alpha=90.00 beta=90.00 gamma=90.00
Space group P4_3 (No. 78)
One atom of each set of equivalent atoms:
Sn  0.051  0.574  0.000 x4
Sn  0.074  0.134  0.060 x4
Sn  0.167  0.657  0.800 x4
Sn  0.387  0.416  0.342 x4
P  0.069  0.585  0.363 x4
P  0.078  0.103  0.454 x4
P  0.402  0.417  0.728 x4
C  0.139  0.610  0.167 x4
N  0.001  0.661  0.176 x4
N  0.172  0.469  0.180 x4
N  0.243  0.701  0.144 x4
O  0.012  0.423  0.927 x4
O  0.022  0.459  0.317 x4
O  0.028  0.732  0.332 x4
O  0.028  0.943  0.008 x4
O  0.029  0.961  0.640 x4
O  0.062  0.762  0.723 x4
O  0.066  0.271  0.446 x4
O  0.236  0.574  0.372 x4
O  0.255  0.637  0.964 x4
O  0.257  0.501  0.740 x4
O  0.421  0.496  0.037 x4
O  0.480  0.482  0.670 x4

Calculated total energy ... -6.57 eV per atom
DFT formation energy ... -33.38 eV per formula unit